# 1
V3NiO6 | Materials Project | PBE+U | optimized geometry; M_tot = 7.0 μB/cell; crystal system = trigonal; raw total energy = -7.31 eV/atom; formation energy from the elements = -2214 meV per atom
1.0
-3.383 3.937 1.830
-4.793 -0.879 2.558
-1.012 1.098 5.298
V O Ni
3 6 1
Direct
0.649 0.649 0.649
0.850 0.850 0.850
0.349 0.349 0.349
0.252 0.939 0.566
0.566 0.252 0.939
0.939 0.566 0.252
0.053 0.455 0.739
0.455 0.739 0.053
0.739 0.053 0.455
0.148 0.148 0.148

=====

# 2
V2NiO6 | Materials Project | PBE+U | optimized geometry; M_tot = 4.0 μB/cell; raw total energy = -6.85 eV/atom; formation energy from the elements = -2012 meV per atom
1.0
1.862 -0.548 4.593
-7.921 -3.810 0.206
0.296 -4.383 -3.182
O Ni V
12 2 4
Direct
0.602 0.924 0.876
0.008 0.875 0.415
0.997 0.124 0.660
0.102 0.424 0.376
0.957 0.571 0.710
0.116 0.831 0.968
0.457 0.071 0.210
0.497 0.624 0.160
0.449 0.697 0.579
0.949 0.197 0.079
0.508 0.375 0.916
0.616 0.331 0.468
0.548 0.849 0.251
0.048 0.349 0.751
0.984 0.003 0.963
0.484 0.503 0.463
0.214 0.751 0.705
0.714 0.251 0.205

=====

# 3
V5NiO23 | Materials Project | PBE+U | optimized geometry; M_tot = 6.0 μB/cell; crystal system = triclinic; raw total energy = -6.16 eV/atom; formation energy from the elements = -848 meV per atom
1.0
8.707 0.000 0.000
2.303 10.315 0.000
2.737 3.101 9.873
O V Ni
46 10 2
Direct
0.681 0.584 0.892
0.988 0.138 0.596
0.718 0.799 0.950
0.232 0.198 0.808
0.960 0.623 0.909
0.805 0.297 0.318
0.556 0.391 0.716
0.037 0.253 0.581
0.768 0.802 0.192
0.739 0.326 0.081
0.385 0.701 0.172
0.096 0.346 0.323
0.904 0.654 0.677
0.231 0.449 0.861
0.031 0.598 0.146
0.040 0.377 0.091
0.072 0.917 0.133
0.629 0.015 0.649
0.007 0.848 0.959
0.769 0.551 0.139
0.444 0.609 0.284
0.359 0.128 0.315
0.069 0.673 0.352
0.928 0.083 0.867
0.938 0.873 0.729
0.476 0.497 0.738
0.319 0.416 0.108
0.641 0.872 0.685
0.248 0.932 0.723
0.062 0.127 0.271
0.752 0.068 0.277
0.816 0.507 0.405
0.993 0.152 0.041
0.261 0.674 0.919
0.524 0.503 0.262
0.184 0.493 0.595
0.969 0.402 0.854
0.282 0.201 0.050
0.371 0.985 0.351
0.931 0.327 0.648
0.615 0.299 0.828
0.195 0.703 0.682
0.384 0.937 0.249
0.012 0.862 0.404
0.616 0.063 0.751
0.963 0.747 0.419
0.097 0.553 0.720
0.855 0.737 0.070
0.186 0.521 0.016
0.903 0.447 0.280
0.199 0.240 0.211
0.145 0.263 0.930
0.857 0.190 0.204
0.143 0.810 0.796
0.814 0.479 0.984
0.801 0.760 0.789
0.783 0.168 0.750
0.217 0.832 0.250

=====

# 4
V2NiO6 | Materials Project | PBE+U | optimized geometry; crystal system = triclinic; raw total energy = -6.93 eV/atom; formation energy from the elements = -2084 meV per atom
1.0
-0.825 2.017 -4.352
-7.027 -0.303 1.803
2.435 7.968 3.255
O V Ni
18 6 3
Direct
0.830 0.150 0.359
0.343 0.168 0.893
0.790 0.471 0.245
0.210 0.529 0.755
0.296 0.524 0.086
0.704 0.473 0.577
0.832 0.153 0.019
0.343 0.166 0.490
0.635 0.789 0.800
0.168 0.847 0.981
0.657 0.832 0.107
0.657 0.834 0.510
0.107 0.823 0.301
0.170 0.850 0.641
0.893 0.177 0.699
0.365 0.211 0.200
0.704 0.476 0.914
0.296 0.527 0.423
0.547 0.287 0.033
0.549 0.286 0.392
0.451 0.714 0.608
0.453 0.713 0.967
0.116 0.582 0.263
0.884 0.418 0.737
0.993 0.987 0.833
0.007 0.013 0.167
0.000 0.000 0.500

=====

# 5
V8Ni2O15 | Materials Project | PBE+U | optimized geometry; M_tot = 36.0 μB/cell; crystal system = monoclinic; raw total energy = -7.46 eV/atom; formation energy from the elements = -2283 meV per atom
1.0
2.549 4.897 0.000
-2.549 4.897 0.000
0.000 1.541 20.969
V O Ni
16 30 4
Direct
0.493 0.991 0.928
0.607 0.114 0.769
0.886 0.393 0.731
0.686 0.190 0.331
0.699 0.223 0.472
0.507 0.009 0.072
0.991 0.493 0.428
0.314 0.810 0.669
0.190 0.686 0.831
0.009 0.507 0.572
0.114 0.607 0.269
0.393 0.886 0.231
0.777 0.301 0.028
0.223 0.699 0.972
0.301 0.777 0.528
0.810 0.314 0.169
0.033 0.222 0.512
0.259 0.129 0.152
0.222 0.033 0.012
0.129 0.259 0.652
0.967 0.778 0.488
0.177 0.960 0.892
0.638 0.830 0.715
0.830 0.638 0.215
0.431 0.240 0.412
0.542 0.662 0.452
0.040 0.823 0.608
0.056 0.944 0.750
0.823 0.040 0.108
0.960 0.177 0.392
0.569 0.760 0.588
0.458 0.338 0.548
0.570 0.377 0.690
0.240 0.431 0.912
0.760 0.569 0.088
0.338 0.458 0.048
0.871 0.741 0.348
0.944 0.056 0.250
0.741 0.871 0.848
0.778 0.967 0.988
0.362 0.170 0.285
0.430 0.623 0.310
0.662 0.542 0.952
0.623 0.430 0.810
0.377 0.570 0.190
0.170 0.362 0.785
0.401 0.912 0.370
0.912 0.401 0.870
0.599 0.088 0.630
0.088 0.599 0.130

=====

# 6
V2NiO6 | Materials Project | PBE+U | optimized geometry; crystal system = monoclinic; raw total energy = -6.94 eV/atom; formation energy from the elements = -2103 meV per atom
1.0
4.960 -0.644 3.047
-1.464 6.613 0.314
-1.947 -1.450 6.331
O Ni V
12 2 4
Direct
0.445 0.629 0.352
0.863 0.807 0.035
0.275 0.620 0.912
0.725 0.380 0.088
0.363 0.965 0.193
0.555 0.371 0.648
0.055 0.352 0.629
0.137 0.193 0.965
0.945 0.648 0.371
0.775 0.088 0.380
0.225 0.912 0.620
0.637 0.035 0.807
0.750 0.084 0.084
0.250 0.916 0.916
0.244 0.795 0.388
0.756 0.205 0.612
0.744 0.612 0.205
0.256 0.388 0.795